# 1
This record from the Materials Project database describes a geometry-optimized Mg3As2 structure. The functional is PBE.

Cell: 6.220 6.220 6.220 Å, 90.00 90.00 90.00°
Atoms (fractional coordinates):
Mg  0.250  0.250  0.750
Mg  0.250  0.750  0.250
Mg  0.250  0.750  0.750
Mg  0.750  0.250  0.250
Mg  0.750  0.250  0.750
Mg  0.750  0.750  0.250
As  0.000  0.000  0.000
As  0.000  0.500  0.500
As  0.500  0.000  0.500
As  0.500  0.500  0.000

Properties
- Theoretical density: 3.07 g/cm3
- Energy above the most stable polymorph in this dataset: 166 meV/atom
- Size of the total moment: 0.0 μB/f.u.
- E_form: -0.460 eV/atom
- Uncorrected energy: -3.2842 eV/atom

=====

# 2
This record from the Materials Project database describes a geometry-optimized Mg3As2 structure. The functional is PBE.

Cell: 4.300 4.300 6.770 Å, 90.00 90.00 120.00°
Atoms (fractional coordinates):
Mg  0.000  0.000  0.000
Mg  0.333  0.667  0.641
Mg  0.667  0.333  0.359
As  0.333  0.667  0.230
As  0.667  0.333  0.770

Properties
- Theoretical density: 3.41 g/cm3
- Energy above the most stable polymorph in this dataset: 20 meV/atom
- E_form: -0.607 eV/atom
- Uncorrected energy: -3.4304 eV/atom

=====

# 3
This record from the Materials Project database describes a geometry-optimized Mg2MnAs2 structure. The functional is PBE.

Cell: 4.231 4.231 6.730 Å, 90.00 90.00 120.00°
Atoms (fractional coordinates):
Mg  0.000  0.000  0.000
Mg  0.333  0.667  0.633
Mn  0.667  0.333  0.270
As  0.000  0.000  0.401
As  0.667  0.333  0.869

Properties
- Theoretical density: 4.03 g/cm3
- Size of the total moment: 4.9 μB/f.u.
- E_form: -0.353 eV/atom
- Uncorrected energy: -4.6887 eV/atom

=====

# 4
This record from the Materials Project database describes a geometry-optimized Mg3AsN structure. The functional is PBE.

Cell: 4.243 4.243 4.243 Å, 90.00 90.00 90.00°
Atoms (fractional coordinates):
Mg  0.000  0.000  0.500
Mg  0.000  0.500  0.000
Mg  0.500  0.000  0.000
As  0.500  0.500  0.500
N  0.000  0.000  0.000

Properties
- Theoretical density: 3.52 g/cm3
- E_form: -0.807 eV/atom
- Uncorrected energy: -4.2941 eV/atom

=====

# 5
This record from the Materials Project database describes a geometry-optimized Na2Mg2As structure. The functional is PBE.

Cell: 6.315 6.315 15.549 Å, 90.00 90.00 90.00°
Atoms (fractional coordinates):
Na  0.000  0.000  0.182
Na  0.000  0.000  0.818
Mg  0.000  0.000  0.396
Mg  0.000  0.000  0.604
As  0.000  0.000  0.000

Properties
- Theoretical density: 0.45 g/cm3
- Size of the total moment: 2.8 μB/f.u.
- E_form: 0.965 eV/atom
- Uncorrected energy: -1.1359 eV/atom

=====

# 6
This record from the Materials Project database describes a geometry-optimized NaMgAs structure. The functional is PBE.

Cell: 4.423 4.423 7.198 Å, 90.00 90.00 90.00°
Atoms (fractional coordinates):
Na  0.250  0.250  0.134
Na  0.750  0.750  0.866
Mg  0.250  0.750  0.500
Mg  0.750  0.250  0.500
As  0.250  0.250  0.718
As  0.750  0.750  0.282

Properties
- Theoretical density: 2.88 g/cm3
- E_form: -0.636 eV/atom
- Uncorrected energy: -3.1637 eV/atom